! Fe2CoO6, optimized geometry, DFT PBE with a Hubbard U; values from VASP
! - E above lowest polymorph: 0 meV per atom
! - ΔE_f: -1.186 eV per atom
! - Crystal system: tetragonal
&SYSTEM
  ibrav = 0, nat = 18, ntyp = 3
/
ATOMIC_SPECIES
O 16.00 O.upf
Fe 55.84 Fe.upf
Co 58.93 Co.upf
CELL_PARAMETERS angstrom
-3.933 0.940 -1.937
-1.988 -0.036 4.019
1.651 8.748 0.895
ATOMIC_POSITIONS crystal
O 0.797 0.797 0.000
O 0.703 0.297 0.500
O 0.297 0.703 0.500
O 0.690 0.310 0.163
O 0.310 0.690 0.837
O 0.810 0.810 0.337
O 0.190 0.190 0.337
O 0.203 0.203 0.000
O 0.190 0.190 0.663
O 0.810 0.810 0.663
O 0.310 0.690 0.163
O 0.690 0.310 0.837
Fe 0.000 0.000 0.166
Fe 0.500 0.500 0.666
Fe 0.500 0.500 0.334
Fe 0.000 0.000 0.834
Co 0.000 0.000 0.500
Co 0.500 0.500 0.000